Record 1
Entry from Materials Project: an optimized crystal structure of U3Al19Ni5 (PBE).

## Properties
Spin magnetization: 7.49 μB/f.u.
Calculated formation energy: -0.355 eV per atom

Lattice parameters (Å, degrees): 8.186 8.186 26.862 90.00 90.00 151.22
Fractional coordinates of all 54 atoms:
U: 0.116 0.884 0.750
U: 0.332 0.668 0.636
U: 0.332 0.668 0.864
U: 0.668 0.332 0.136
U: 0.668 0.332 0.364
U: 0.884 0.116 0.250
Al: 0.037 0.963 0.102
Al: 0.037 0.963 0.398
Al: 0.078 0.922 0.201
Al: 0.078 0.922 0.299
Al: 0.093 0.907 0.537
Al: 0.093 0.907 0.963
Al: 0.132 0.868 0.636
Al: 0.132 0.868 0.864
Al: 0.264 0.736 0.529
Al: 0.264 0.736 0.971
Al: 0.276 0.724 0.194
Al: 0.276 0.724 0.306
Al: 0.292 0.708 0.089
Al: 0.292 0.708 0.411
Al: 0.305 0.695 0.750
Al: 0.432 0.568 0.531
Al: 0.432 0.568 0.969
Al: 0.463 0.537 0.174
Al: 0.463 0.537 0.326
Al: 0.537 0.463 0.674
Al: 0.537 0.463 0.826
Al: 0.568 0.432 0.031
Al: 0.568 0.432 0.469
Al: 0.695 0.305 0.250
Al: 0.708 0.292 0.589
Al: 0.708 0.292 0.911
Al: 0.724 0.276 0.694
Al: 0.724 0.276 0.806
Al: 0.736 0.264 0.029
Al: 0.736 0.264 0.471
Al: 0.868 0.132 0.136
Al: 0.868 0.132 0.364
Al: 0.907 0.093 0.037
Al: 0.907 0.093 0.463
Al: 0.922 0.078 0.701
Al: 0.922 0.078 0.799
Al: 0.963 0.037 0.602
Al: 0.963 0.037 0.898
Ni: 0.160 0.840 0.043
Ni: 0.160 0.840 0.457
Ni: 0.447 0.553 0.084
Ni: 0.447 0.553 0.416
Ni: 0.456 0.544 0.750
Ni: 0.544 0.456 0.250
Ni: 0.553 0.447 0.584
Ni: 0.553 0.447 0.916
Ni: 0.840 0.160 0.543
Ni: 0.840 0.160 0.957



Record 2
Entry from Materials Project: an optimized crystal structure of UAlNi (PBE).

## Properties
Spin magnetization: 1.97 μB/f.u.
Calculated formation energy: -0.282 eV per atom

Lattice parameters (Å, degrees): 6.605 6.605 4.103 90.00 90.00 120.00
Fractional coordinates of all 9 atoms:
U: 0.000 0.429 0.000
U: 0.429 0.000 0.000
U: 0.571 0.571 0.000
Al: 0.000 0.765 0.500
Al: 0.235 0.235 0.500
Al: 0.765 0.000 0.500
Ni: 0.000 0.000 0.000
Ni: 0.333 0.667 0.500
Ni: 0.667 0.333 0.500